--- a ---
## UAg2W2O10 (PBE+U)

Data for a relaxed structure of UAg2W2O10.

a = 8.787 Å, b = 7.676 Å, c = 12.782 Å
α = 90.00°, β = 90.00°, γ = 90.00°
Space group Pnma (No. 62)
Unique sites:
1 U 0.025 0.250 0.000 x4
2 Ag 0.172 0.750 0.295 x4
3 Ag 0.190 0.250 0.309 x4
4 W 0.150 0.000 0.576 x8
5 O 0.003 0.250 0.142 x4
6 O 0.044 0.250 0.856 x4
7 O 0.065 0.023 0.411 x8
8 O 0.137 0.250 0.576 x4
9 O 0.148 0.525 0.010 x8
10 O 0.187 0.750 0.544 x4
11 O 0.210 0.513 0.710 x8

***

--- b ---
## UAg2W2O10 (PBE+U)

Data for a relaxed structure of UAg2W2O10.

a = 8.607 Å, b = 7.642 Å, c = 13.149 Å
α = 90.00°, β = 95.24°, γ = 90.00°
Space group P2_1/c (No. 14)
Unique sites:
1 U 0.025 0.121 0.252 x4
2 Ag 0.196 0.117 0.548 x4
3 Ag 0.198 0.631 0.539 x4
4 W 0.369 0.629 0.831 x4
5 W 0.370 0.130 0.834 x4
6 O 0.005 0.123 0.392 x4
7 O 0.040 0.118 0.110 x4
8 O 0.148 0.654 0.768 x4
9 O 0.149 0.104 0.768 x4
10 O 0.315 0.121 0.298 x4
11 O 0.332 0.611 0.963 x4
12 O 0.334 0.148 0.965 x4
13 O 0.376 0.621 0.334 x4
14 O 0.414 0.660 0.665 x4
15 O 0.417 0.097 0.670 x4

***

Relative stability in eV/atom, measured from the most stable structure: a 0.005; b 0.000